A plane-wave DFT calculation with PBE was carried out for HoGe2Ir after structural relaxation.

abc: 9.4683 9.4683 9.4683
angles: 153.97 123.90 62.85
Sites, in units of the cell vectors:
Ge (0.3540, 0.2014, 0.1526)
Ge (0.6460, 0.7986, 0.8474)
Ge (0.0778, 0.5778, 0.5000)
Ge (0.0489, 0.2014, 0.8474)
Ge (0.9511, 0.7986, 0.1526)
Ge (0.4233, 0.4233, 0.0000)
Ge (0.9222, 0.4222, 0.5000)
Ge (0.5767, 0.5767, 0.0000)
Ir (0.8957, 0.6451, 0.2506)
Ir (0.6054, 0.3549, 0.2506)
Ir (0.1043, 0.3549, 0.7494)
Ir (0.3946, 0.6451, 0.7494)
Ho (0.2951, 0.7951, 0.5000)
Ho (0.2627, 0.0000, 0.2627)
Ho (0.7373, 0.0000, 0.7373)
Ho (0.7049, 0.2049, 0.5000)

Summary:
- Volume: 19.174 Å³/atom
- Calculated total energy: -6.459 eV per atom

---

A plane-wave DFT calculation with PBE was carried out for MgBi4O10 after structural relaxation.

abc: 10.9697 5.8694 4.2317
angles: 111.14 90.00 90.00
Sites, in units of the cell vectors:
O (0.8354, 0.8747, 0.4369)
O (0.8703, 0.3816, 0.6903)
O (0.7167, 0.1161, 0.0576)
O (0.1297, 0.3816, 0.6903)
O (0.5000, 0.0964, 0.5478)
O (0.2833, 0.1161, 0.0576)
O (0.6448, 0.6017, 0.8009)
O (0.3552, 0.6017, 0.8009)
O (0.1646, 0.8747, 0.4369)
O (0.0000, 0.9491, 0.9741)
Bi (0.1805, 0.7619, 0.8805)
Bi (0.3188, 0.2215, 0.6106)
Bi (0.8195, 0.7619, 0.8805)
Bi (0.6812, 0.2215, 0.6106)
Mg (0.0000, 0.1122, 0.5555)

Summary:
- Volume: 16.942 Å³/atom
- Energy above the most stable polymorph in this dataset: 0.0000 eV per atom
- Calculated total energy: -5.478 eV per atom

---

A plane-wave DFT calculation with PBE was carried out for NaMg6V after structural relaxation.

abc: 5.1511 6.5791 10.8253
angles: 90.00 90.00 90.00
Sites, in units of the cell vectors:
Mg (0.0000, 0.2642, 0.4129)
Mg (0.5000, 0.7517, 0.5841)
Mg (0.5000, 0.7483, 0.0841)
Mg (0.0000, 0.5000, 0.6629)
Mg (0.0000, 0.7358, 0.4129)
Mg (0.0000, 0.5000, 0.1711)
Mg (0.0000, 0.2358, 0.9129)
Mg (0.5000, 0.2517, 0.0841)
Mg (0.0000, 0.0000, 0.6711)
Mg (0.0000, 0.0000, 0.1629)
Mg (0.5000, 0.2483, 0.5841)
Mg (0.0000, 0.7642, 0.9129)
V (0.5000, 0.0000, 0.8363)
V (0.5000, 0.5000, 0.3363)
Na (0.5000, 0.0000, 0.3356)
Na (0.5000, 0.5000, 0.8356)

Summary:
- Volume: 22.929 Å³/atom
- Energy above the most stable polymorph in this dataset: 0.0000 eV per atom
- Calculated total energy: -2.264 eV per atom

---

A plane-wave DFT calculation with PBE was carried out for Ho5Zr3Ni16As12 after structural relaxation.

abc: 12.7798 12.7798 3.8994
angles: 90.00 90.00 120.00
Sites, in units of the cell vectors:
Ni (0.0000, 0.0000, 0.0000)
Ni (0.5189, 0.6399, 0.5000)
Ni (0.3738, 0.1917, 0.0000)
Ni (0.1209, 0.4811, 0.5000)
Ni (0.8791, 0.3601, 0.5000)
Ni (0.1917, 0.3738, 0.0000)
Ni (0.8180, 0.6262, 0.0000)
Ni (0.6399, 0.5189, 0.5000)
Ni (0.3601, 0.8791, 0.5000)
Ni (0.2764, 0.2764, 0.5000)
Ni (0.6262, 0.8180, 0.0000)
Ni (0.8083, 0.1820, 0.0000)
Ni (0.7236, 0.0000, 0.5000)
Ni (0.4811, 0.1209, 0.5000)
Ni (0.0000, 0.7236, 0.5000)
Ni (0.1820, 0.8083, 0.0000)
Ho (0.3333, 0.6667, 0.0000)
Ho (0.1809, 0.0000, 0.5000)
Ho (0.6667, 0.3333, 0.0000)
Ho (0.0000, 0.1809, 0.5000)
Ho (0.8191, 0.8191, 0.5000)
As (0.0000, 0.8226, 0.0000)
As (0.8226, 0.0000, 0.0000)
As (0.8272, 0.5191, 0.5000)
As (0.4809, 0.3082, 0.5000)
As (0.5191, 0.8272, 0.5000)
As (0.3082, 0.4809, 0.5000)
As (0.6918, 0.1728, 0.5000)
As (0.3540, 0.0000, 0.0000)
As (0.0000, 0.3540, 0.0000)
As (0.6460, 0.6460, 0.0000)
As (0.1728, 0.6918, 0.5000)
As (0.1774, 0.1774, 0.0000)
Zr (0.5626, 0.0000, 0.0000)
Zr (0.0000, 0.5626, 0.0000)
Zr (0.4374, 0.4374, 0.0000)

Summary:
- Volume: 15.321 Å³/atom
- Calculated total energy: -6.297 eV per atom

---

A plane-wave DFT calculation with PBE was carried out for Cd3Bi after structural relaxation.

abc: 5.6703 5.6703 5.6703
angles: 130.41 130.41 72.75
Sites, in units of the cell vectors:
Cd (0.7500, 0.2500, 0.5000)
Cd (0.2500, 0.7500, 0.5000)
Cd (0.5000, 0.5000, 0.0000)
Bi (0.0000, 0.0000, 0.0000)

Summary:
- Volume: 25.814 Å³/atom
- Calculated total energy: -1.592 eV per atom

---

A plane-wave DFT calculation with PBE was carried out for ScAlFe after structural relaxation.

abc: 5.1229 5.2078 8.3693
angles: 90.00 90.00 120.55
Sites, in units of the cell vectors:
Al (0.1770, 0.8348, 0.7500)
Al (0.9852, 0.9926, 0.4857)
Al (0.9852, 0.9926, 0.0143)
Al (0.1770, 0.3423, 0.7500)
Fe (0.8246, 0.1815, 0.2500)
Fe (0.3474, 0.1737, 0.2500)
Fe (0.8246, 0.6431, 0.2500)
Fe (0.6669, 0.8334, 0.7500)
Sc (0.3401, 0.6701, 0.4243)
Sc (0.6660, 0.3330, 0.5518)
Sc (0.3401, 0.6701, 0.0757)
Sc (0.6660, 0.3330, 0.9482)

Summary:
- Volume: 16.024 Å³/atom
- Calculated total energy: -6.577 eV per atom

---

A plane-wave DFT calculation with PBE was carried out for ErCo2Ge2 after structural relaxation.

abc: 3.9445 3.9445 5.7658
angles: 110.00 110.00 90.00
Sites, in units of the cell vectors:
Er (0.0000, 0.0000, 0.0000)
Ge (0.6269, 0.6269, 0.2538)
Ge (0.3731, 0.3731, 0.7462)
Co (0.7500, 0.2500, 0.5000)
Co (0.2500, 0.7500, 0.5000)

Summary:
- Volume: 15.703 Å³/atom
- Calculated total energy: -6.210 eV per atom

---

A plane-wave DFT calculation with PBE was carried out for IrN2 after structural relaxation.

abc: 3.0932 3.0932 3.7670
angles: 90.00 90.00 120.00
Sites, in units of the cell vectors:
N (0.0000, 0.0000, 0.1674)
N (0.0000, 0.0000, 0.8326)
Ir (0.6667, 0.3333, 0.5000)

Summary:
- Volume: 10.405 Å³/atom
- Calculated total energy: -7.474 eV per atom